1.
MnP3O9 | PBE with a Hubbard U | optimized geometry

Calculated total energy: -94.627 eV per formula unit
Crystal system: orthorhombic
ΔE_f: -2503 meV/atom
Energy with MP2020 corrections: -0.5794 Ry per atom
ΔE to the lowest computed polymorph: 11 meV per atom
Theoretical density: 3.03 g cm⁻³

a b c (Å): 8.3892 8.4070 9.0665
angles (deg): 90.00 90.00 90.00
Space group P2_12_12_1 (No. 19)
One atom of each set of equivalent atoms:
Mn  0.1390  0.1398  0.3541 (multiplicity 4)
P  0.0340  0.6766  0.8052 (multiplicity 4)
P  0.1742  0.5101  0.3040 (multiplicity 4)
P  0.2045  0.1944  0.9430 (multiplicity 4)
O  0.0436  0.2259  0.8490 (multiplicity 4)
O  0.0876  0.1178  0.5891 (multiplicity 4)
O  0.0894  0.5930  0.1791 (multiplicity 4)
O  0.0952  0.3655  0.3714 (multiplicity 4)
O  0.1373  0.8148  0.8571 (multiplicity 4)
O  0.1511  0.5359  0.7465 (multiplicity 4)
O  0.1604  0.1643  0.0985 (multiplicity 4)
O  0.1872  0.9171  0.3573 (multiplicity 4)
O  0.2115  0.6319  0.4347 (multiplicity 4)

***

2.
Mn4P3O12 | PBE with a Hubbard U | optimized geometry

Calculated total energy: -143.954 eV per formula unit
Crystal system: monoclinic
ΔE_f: -2453 meV/atom
Energy with MP2020 corrections: -0.6146 Ry per atom
ΔE to the lowest computed polymorph: 36 meV per atom
Theoretical density: 3.13 g cm⁻³

a b c (Å): 14.7078 8.5230 9.8727
angles (deg): 90.00 119.95 90.00
Space group Cc (No. 9)
One atom of each set of equivalent atoms:
Mn  0.0000  0.0195  0.0000 (multiplicity 4)
Mn  0.1710  0.3465  0.5030 (multiplicity 4)
Mn  0.2459  0.2517  0.1666 (multiplicity 4)
Mn  0.4013  0.0791  0.9951 (multiplicity 4)
P  0.1624  0.0452  0.3772 (multiplicity 4)
P  0.2966  0.4104  0.8856 (multiplicity 4)
P  0.4958  0.1177  0.3795 (multiplicity 4)
O  0.9999  0.3945  0.7300 (multiplicity 4)
O  0.0375  0.4616  0.4767 (multiplicity 4)
O  0.0595  0.2412  0.9872 (multiplicity 4)
O  0.0809  0.0347  0.7290 (multiplicity 4)
O  0.1132  0.1011  0.4772 (multiplicity 4)
O  0.2000  0.2047  0.3424 (multiplicity 4)
O  0.2233  0.3261  0.7355 (multiplicity 4)
O  0.2508  0.4368  0.9971 (multiplicity 4)
O  0.2582  0.0649  0.9844 (multiplicity 4)
O  0.3385  0.4313  0.3550 (multiplicity 4)
O  0.3798  0.1175  0.3478 (multiplicity 4)
O  0.4038  0.3178  0.9768 (multiplicity 4)

***

3.
MnP3O9 | PBE with a Hubbard U | optimized geometry

Calculated total energy: -94.168 eV per formula unit
Crystal system: triclinic
ΔE_f: -2468 meV/atom
Energy with MP2020 corrections: -0.5768 Ry per atom
ΔE to the lowest computed polymorph: 46 meV per atom
Theoretical density: 2.73 g cm⁻³

a b c (Å): 7.0316 7.2164 7.2994
angles (deg): 84.03 86.08 74.66
Space group P-1 (No. 2)
One atom of each set of equivalent atoms:
Mn  0.0671  0.1492  0.1730 (multiplicity 2)
P  0.0366  0.2243  0.6464 (multiplicity 2)
P  0.2463  0.4384  0.8649 (multiplicity 2)
P  0.3711  0.7649  0.3082 (multiplicity 2)
O  0.0822  0.0508  0.7919 (multiplicity 2)
O  0.0820  0.1899  0.4491 (multiplicity 2)
O  0.1502  0.3760  0.6959 (multiplicity 2)
O  0.1819  0.6562  0.8608 (multiplicity 2)
O  0.1895  0.6600  0.3194 (multiplicity 2)
O  0.2048  0.3292  0.0438 (multiplicity 2)
O  0.3057  0.9486  0.1747 (multiplicity 2)
O  0.4463  0.7717  0.4885 (multiplicity 2)
O  0.4760  0.3854  0.8198 (multiplicity 2)

***

Which formula does entry 3 have?
MnP3O9

***

What is the formula in the second record?
Mn4P3O12

***

The highest ΔE_f belongs to which entry?
Mn4P3O12